No. 1
Material: MgSi
Method: DFT, GGA-PBE
State: relaxed

calculated volume: 233 Å³/cell
SG: C2/m

POSCAR file:
```
MgSi
1.0
5.839 -1.868 0.000
5.839 1.868 0.000
-2.926 0.000 10.672
Mg Si
6 6
direct
0.073 0.073 0.166
0.201 0.201 0.859
0.350 0.350 0.590
0.650 0.650 0.410
0.799 0.799 0.141
0.927 0.927 0.834
0.048 0.048 0.614
0.311 0.311 0.338
0.411 0.411 0.026
0.589 0.589 0.974
0.689 0.689 0.662
0.952 0.952 0.386
```



No. 2
Material: Nd4Rh6Pb19
Method: DFT, GGA-PBE
State: relaxed

calculated volume: 3083 Å³/cell
SG: I4_1/acd
polymorph energy (0 for the lowest one): 0 meV/atom

POSCAR file:
```
Nd4Rh6Pb19
1.0
-7.290 7.290 14.502
7.290 -7.290 14.502
7.290 7.290 -14.502
Nd Rh Pb
16 24 76
direct
0.062 0.079 0.256
0.079 0.323 0.017
0.177 0.421 0.483
0.194 0.938 0.517
0.306 0.823 0.744
0.323 0.806 0.244
0.421 0.438 0.244
0.438 0.694 0.017
0.562 0.306 0.983
0.579 0.562 0.756
0.677 0.194 0.756
0.694 0.177 0.256
0.806 0.062 0.483
0.823 0.579 0.517
0.921 0.677 0.983
0.938 0.921 0.744
0.004 0.754 0.250
0.117 0.124 0.992
0.124 0.633 0.007
0.126 0.117 0.493
0.133 0.624 0.507
0.246 0.996 0.250
0.254 0.504 0.750
0.367 0.874 0.492
0.374 0.867 0.992
0.376 0.383 0.508
0.383 0.374 0.007
0.496 0.746 0.750
0.504 0.254 0.250
0.617 0.626 0.993
0.624 0.617 0.492
0.626 0.133 0.008
0.633 0.126 0.508
0.746 0.496 0.250
0.754 0.004 0.750
0.867 0.376 0.493
0.874 0.883 0.507
0.876 0.367 0.993
0.883 0.876 0.008
0.996 0.246 0.750
0.007 0.079 0.748
0.034 0.115 0.572
0.037 0.457 0.572
0.038 0.750 0.788
0.043 0.463 0.928
0.047 0.797 0.594
0.049 0.451 0.250
0.079 0.832 0.073
0.115 0.043 0.081
0.125 0.375 0.750
0.135 0.703 0.415
0.168 0.741 0.248
0.201 0.951 0.901
0.203 0.297 0.250
0.203 0.635 0.915
0.212 0.280 0.915
0.220 0.288 0.585
0.241 0.668 0.748
0.250 0.038 0.788
0.250 0.538 0.288
0.259 0.007 0.427
0.280 0.865 0.068
0.288 0.203 0.068
0.297 0.212 0.432
0.297 0.547 0.094
0.299 0.201 0.750
0.332 0.579 0.573
0.365 0.780 0.568
0.375 0.125 0.250
0.385 0.466 0.928
0.421 0.493 0.752
0.451 0.701 0.401
0.453 0.047 0.750
0.457 0.385 0.419
0.462 0.250 0.712
0.463 0.034 0.419
0.466 0.037 0.081
0.493 0.241 0.073
0.507 0.759 0.927
0.534 0.963 0.919
0.537 0.966 0.581
0.538 0.750 0.288
0.543 0.615 0.581
0.547 0.953 0.250
0.549 0.299 0.599
0.579 0.507 0.248
0.615 0.534 0.072
0.625 0.875 0.750
0.635 0.220 0.432
0.668 0.421 0.427
0.701 0.799 0.250
0.703 0.453 0.906
0.703 0.788 0.568
0.712 0.797 0.932
0.720 0.135 0.932
0.741 0.993 0.573
0.750 0.462 0.712
0.750 0.962 0.212
0.759 0.332 0.252
0.780 0.712 0.415
0.788 0.720 0.085
0.797 0.365 0.085
0.797 0.703 0.750
0.799 0.049 0.099
0.832 0.259 0.752
0.865 0.297 0.585
0.875 0.625 0.250
0.885 0.957 0.919
0.921 0.168 0.927
0.951 0.549 0.750
0.953 0.203 0.406
0.957 0.537 0.072
0.962 0.250 0.212
0.963 0.543 0.428
0.966 0.885 0.428
0.993 0.921 0.252
```



No. 3
Material: MgTi2N2
Method: DFT, GGA-PBE
State: relaxed

calculated volume: 77 Å³/cell
SG: P-4m2

POSCAR file:
```
MgTi2N2
1.0
3.140 0.000 0.000
0.000 3.140 0.000
0.000 0.000 7.761
Mg Ti N
1 2 2
direct
0.000 0.000 0.000
0.500 0.500 0.314
0.500 0.500 0.686
0.000 0.500 0.824
0.500 0.000 0.176
```



No. 4
Material: GdCdCu
Method: DFT, GGA-PBE
State: relaxed

calculated volume: 193 Å³/cell
SG: P-62m

POSCAR file:
```
GdCdCu
1.0
7.488 0.000 0.000
-3.744 6.485 0.000
0.000 0.000 3.972
Gd Cd Cu
3 3 3
direct
0.000 0.588 0.000
0.412 0.412 0.000
0.588 0.000 0.000
0.000 0.250 0.500
0.250 0.000 0.500
0.750 0.750 0.500
0.000 0.000 0.000
0.333 0.667 0.500
0.667 0.333 0.500
```



No. 5
Material: Mg16MnAl12
Method: DFT, GGA-PBE
State: relaxed

calculated volume: 573 Å³/cell
SG: I-43m
polymorph energy (0 for the lowest one): 8 meV/atom

POSCAR file:
```
Mg16MnAl12
1.0
-5.231 5.231 5.231
5.231 -5.231 5.231
5.231 5.231 -5.231
Mg Mn Al
16 1 12
direct
0.000 0.000 0.669
0.000 0.400 0.686
0.000 0.669 0.000
0.000 0.686 0.400
0.286 0.600 0.600
0.314 0.314 0.714
0.314 0.714 0.314
0.331 0.331 0.331
0.400 0.000 0.686
0.400 0.686 0.000
0.600 0.286 0.600
0.600 0.600 0.286
0.669 0.000 0.000
0.686 0.000 0.400
0.686 0.400 0.000
0.714 0.314 0.314
0.000 0.000 0.000
0.000 0.184 0.362
0.000 0.362 0.184
0.178 0.816 0.816
0.184 0.000 0.362
0.184 0.362 0.000
0.362 0.000 0.184
0.362 0.184 0.000
0.638 0.638 0.822
0.638 0.822 0.638
0.816 0.178 0.816
0.816 0.816 0.178
0.822 0.638 0.638
```



No. 6
Material: LiCuPO4
Method: DFT, GGA-PBE
State: relaxed

calculated volume: 609 Å³/cell
SG: Pbca
polymorph energy (0 for the lowest one): 27 meV/atom

POSCAR file:
```
LiCuPO4
1.0
5.876 0.000 0.000
0.000 7.371 0.000
0.000 0.000 14.070
Li Cu P O
8 8 8 32
direct
0.157 0.197 0.217
0.157 0.303 0.717
0.343 0.697 0.217
0.343 0.803 0.717
0.657 0.197 0.283
0.657 0.303 0.783
0.843 0.697 0.283
0.843 0.803 0.783
0.121 0.681 0.531
0.121 0.819 0.031
0.379 0.181 0.531
0.379 0.319 0.031
0.621 0.681 0.969
0.621 0.819 0.469
0.879 0.181 0.969
0.879 0.319 0.469
0.095 0.532 0.874
0.095 0.968 0.374
0.405 0.032 0.874
0.405 0.468 0.374
0.595 0.532 0.626
0.595 0.968 0.126
0.905 0.032 0.626
0.905 0.468 0.126
0.042 0.648 0.132
0.042 0.852 0.632
0.058 0.186 0.579
0.058 0.314 0.079
0.155 0.591 0.774
0.155 0.909 0.274
0.187 0.009 0.938
0.187 0.491 0.438
0.313 0.509 0.938
0.313 0.991 0.438
0.345 0.091 0.774
0.345 0.409 0.274
0.442 0.686 0.579
0.442 0.814 0.079
0.458 0.148 0.132
0.458 0.352 0.632
0.542 0.648 0.368
0.542 0.852 0.868
0.558 0.186 0.921
0.558 0.314 0.421
0.655 0.591 0.726
0.655 0.909 0.226
0.687 0.009 0.562
0.687 0.491 0.062
0.813 0.509 0.562
0.813 0.991 0.062
0.845 0.091 0.726
0.845 0.409 0.226
0.942 0.686 0.921
0.942 0.814 0.421
0.958 0.148 0.368
0.958 0.352 0.868
```



no.,energy relative to the elements (kJ/mol of formula units),raw total energy (eV for the cell shown)
1,17,-41.5
2,-741,-565.9
3,-379,-37.3
4,316,-47.5
5,17,-79.5
6,-1465,-349.2